1.
Computed, not measured: an optimized crystal structure of NiSe at the PBE level of DFT.

Properties
The total DFT energy (no corrections) comes out at -9.750 eV per formula unit. The MP2020-corrected energy is -20.4 eV/cell. As for the space group: P6_3/mmc. The energy of formation is -0.47 eV per atom.

```
4
Lattice="3.6918 0.0000 0.0000 -1.8459 3.1972 0.0000 0.0000 0.0000 5.2151" Properties=species:S:1:pos:R:3 pbc="T T T"
Ni 0.0000 0.0000 0.0000
Ni 0.0000 0.0000 2.6076
Se 0.0000 2.1315 1.3038
Se 1.8459 1.0657 3.9114
```



2.
Computed, not measured: an optimized crystal structure of Tb2F15 at the PBE level of DFT.

Properties
The total DFT energy (no corrections) comes out at -64.768 eV per formula unit. The calculation puts the energy above the most stable polymorph in this dataset at 51.1 meV per atom. The MP2020-corrected energy is -143.4 eV/cell. As for the space group: C2/c. The energy of formation is -1.98 eV per atom.

```
34
Lattice="5.0103 -6.3912 0.0000 5.0103 6.3912 0.0000 -1.0608 0.0000 8.6159" Properties=species:S:1:pos:R:3 pbc="T T T"
Tb 4.2147 3.7490 6.4619
Tb 4.7451 3.0041 2.1540
Tb 4.2147 -3.0041 6.4619
Tb 4.7451 -3.7490 2.1540
F 3.7640 4.9321 1.9145
F 0.8862 1.5576 3.8675
F 1.2316 1.2747 1.0222
F 2.6109 2.2107 6.1935
F 3.0257 1.4561 1.9355
F 5.7261 4.9321 2.3934
F 0.7012 -1.2747 5.3301
F 2.4944 0.5211 3.5643
F 0.3558 -1.5576 8.1754
F 3.8759 2.9380 8.6093
F 4.5535 2.9380 4.3145
F 1.9641 -0.5211 7.8722
F 4.2147 1.0560 6.4619
F 2.4953 -1.4561 6.2434
F 5.8185 2.2107 6.7303
F 3.1412 -2.2107 1.8856
F 6.4644 1.4561 2.3725
F 4.7451 -1.0560 2.1540
F 6.9957 0.5211 0.7436
F 4.4063 -2.9380 4.3014
F 5.0839 -2.9380 0.0066
F 8.6040 1.5576 0.4404
F 6.4653 -0.5211 5.0516
F 8.2585 1.2747 3.2857
F 3.2336 -4.9321 6.2225
F 5.9341 -1.4561 6.6804
F 6.3489 -2.2107 2.4224
F 7.7282 -1.2747 7.5937
F 8.0736 -1.5576 4.7484
F 5.1958 -4.9321 6.7014
```



3.
Computed, not measured: an optimized crystal structure of CeMg6Cd at the PBE level of DFT.

Properties
The total DFT energy (no corrections) comes out at -16.216 eV per formula unit. The energy of formation is 0.03 eV per atom.

```
16
Lattice="-1.2376 2.6593 4.1974 -4.1755 -4.7601 1.7846 8.4992 -5.2653 5.8418" Properties=species:S:1:pos:R:3 pbc="T T T"
Mg 6.1420 -4.7563 7.9478
Mg -0.3942 -1.6286 0.9156
Mg 3.8965 -4.2145 3.8189
Mg -0.1954 -4.5036 5.9192
Mg 5.0394 -6.7953 5.7910
Mg 0.8235 0.4361 3.0901
Mg 2.8775 -1.7826 1.9778
Mg 4.1234 -7.0574 8.8105
Mg 2.9854 -4.5766 6.9033
Mg 1.9615 -2.0447 4.9974
Mg -2.4408 -3.9619 1.7904
Mg 1.7677 -6.6413 4.7288
Cd -1.3372 -1.8987 3.9322
Cd 5.0001 -2.1513 5.9608
Ce 7.0393 -4.3608 4.8383
Ce 0.7019 -4.1082 2.8097
```



Look up the energy of formation of the third one.
0.03 eV per atom